[1]
Compound: Ba2LuMgSbO6
Source: the Materials Project database
Functional: PBE
Structure: relaxed

Lattice parameters (Å, degrees): 6.2393 7.1347 6.2383 64.08 60.01 64.32
Element x y z (fractional)
O 0.2576 0.3115 0.7155
Ba 0.2221 0.3261 0.2259
O 0.2476 0.7310 0.2415
O 0.7884 0.7228 0.2444
O 0.7115 0.3089 0.7172
Lu 0.4740 0.5770 0.4745
O 0.2476 0.7310 0.7799
Mg 0.6128 0.1474 0.6199
O 0.7115 0.3089 0.2624
Sb 0.0299 0.9121 0.0290
Ba 0.8115 0.5588 0.8148

Calculated values
Relative energy among the computed polymorphs = 138.9 meV/atom
Total energy = -6.30 eV/atom
E_form = -2690 meV/atom
ρ = 5.524 g/cm3



[2]
Compound: BaLu2O4
Source: the Materials Project database
Functional: PBE
Structure: relaxed

Lattice parameters (Å, degrees): 5.8172 5.8172 11.3171 90.00 90.00 146.20
Element x y z (fractional)
O 0.4306 0.5694 0.7500
O 0.7404 0.2596 0.6001
O 0.2596 0.7404 0.3999
O 0.2596 0.7404 0.1001
Lu 0.6357 0.3643 0.4300
Lu 0.3643 0.6357 0.5700
Ba 0.8897 0.1103 0.2500
O 0.0000 0.0000 0.5000
Ba 0.1103 0.8897 0.7500
O 0.5694 0.4306 0.2500
Lu 0.6357 0.3643 0.0700
O 0.7404 0.2596 0.8999
O 0.0000 0.0000 0.0000
Lu 0.3643 0.6357 0.9300

Calculated values
Relative energy among the computed polymorphs = 41.6 meV/atom
Total energy = -7.72 eV/atom
E_form = -3715 meV/atom
ρ = 8.594 g/cm3



[3]
Compound: Ba4Lu6O13
Source: the Materials Project database
Functional: PBE
Structure: relaxed

Lattice parameters (Å, degrees): 12.5535 12.5535 12.5535 152.41 121.96 65.44
Element x y z (fractional)
O 0.0000 0.6979 0.6979
O 0.3839 0.0808 0.5613
O 0.7409 0.3558 0.3627
O 0.2432 0.9928 0.7474
O 0.8051 0.6519 0.3972
O 0.2591 0.6217 0.6149
O 0.4805 0.6774 0.0613
Ba 0.9716 0.3387 0.6298
O 0.4951 0.9926 0.9999
O 0.0069 0.1217 0.8627
O 0.2454 0.4928 0.2496
Lu 0.3452 0.4357 0.8772
Lu 0.9096 0.9662 0.8036
O 0.1949 0.5921 0.8468
Lu 0.4415 0.0320 0.3772
O 0.7546 0.0042 0.2474
Lu 0.8771 0.7533 0.1251
Lu 0.3719 0.7480 0.6251
O 0.0073 0.0048 0.4999
O 0.0000 0.1979 0.1979
Ba 0.0284 0.6582 0.3671
O 0.9931 0.8558 0.1149
Ba 0.2145 0.8339 0.3767
Lu 0.1626 0.4662 0.5566
O 0.7568 0.5042 0.7496
O 0.4767 0.8779 0.6457
Ba 0.7855 0.1622 0.6194
Lu 0.6548 0.5320 0.0905
O 0.2322 0.3779 0.9012
O 0.7678 0.6690 0.1457
Ba 0.4572 0.3339 0.1194
O 0.2547 0.1519 0.3468
O 0.7453 0.0921 0.8972
O 0.6161 0.1774 0.6969
Lu 0.8374 0.3940 0.3036
O 0.5049 0.5048 0.4976
Ba 0.2911 0.1582 0.1298
O 0.9927 0.4926 0.9976
Ba 0.5428 0.6622 0.8767
O 0.5233 0.1690 0.4012
Lu 0.0904 0.8940 0.0566
Lu 0.5585 0.9357 0.5905
Lu 0.1229 0.2480 0.8761
O 0.5195 0.5808 0.1969
Lu 0.6281 0.2533 0.3761
Ba 0.7089 0.8387 0.8671

Calculated values
Total energy = -7.56 eV/atom
E_form = -3634 meV/atom
ρ = 7.794 g/cm3



[4]
Compound: Ba3Lu4O9
Source: the Materials Project database
Functional: PBE
Structure: relaxed

Lattice parameters (Å, degrees): 9.0508 9.0508 9.0508 38.90 38.90 38.90
Element x y z (fractional)
Lu 0.7365 0.7365 0.7365
Ba 0.9973 0.9973 0.9973
Lu 0.2978 0.2978 0.2978
O 0.6186 0.1228 0.6642
O 0.1228 0.6642 0.6186
O 0.0743 0.5789 0.0843
O 0.0843 0.0743 0.5789
Ba 0.5815 0.5815 0.5815
Ba 0.1613 0.1613 0.1613
O 0.5789 0.0843 0.0743
Lu 0.4222 0.4222 0.4222
O 0.6642 0.6186 0.1228
O 0.4826 0.0340 0.5515
Lu 0.8607 0.8607 0.8607
O 0.0340 0.5515 0.4826
O 0.5515 0.4826 0.0340

Calculated values
Total energy = -7.54 eV/atom
E_form = -3649 meV/atom
ρ = 7.932 g/cm3